1.
## EuVO4 (PBE with a Hubbard U)

Data for a geometry-optimized EuVO4 structure.

VASP energy   -51.51 eV/f.u.
M_tot   1.0003 μB per atom
Space group   I4_1/a (88)

Cell lengths 6.860, 6.860, 6.860 Å; angles 135.58, 135.58, 64.63 degrees
Positions (direct):
Eu1 0.750 0.250 0.500
Eu2 0.000 0.000 0.000
V1 0.250 0.750 0.500
V2 0.500 0.500 0.000
O1 0.173 0.275 0.608
O2 0.667 0.565 0.392
O3 0.315 0.423 0.398
O4 0.025 0.917 0.602
O5 0.577 0.975 0.892
O6 0.083 0.685 0.108
O7 0.435 0.827 0.102
O8 0.725 0.333 0.898

2.
## Li4Fe3O2F6 (PBE with a Hubbard U)

Data for a geometry-optimized Li4Fe3O2F6 structure.

VASP energy   -81.45 eV/f.u.
M_tot   0.0000 μB per atom
Space group   P-1 (2)

Cell lengths 5.271, 5.309, 11.752 Å; angles 98.67, 93.64, 79.70 degrees
Positions (direct):
Li1 0.986 0.982 0.999
Li2 0.985 0.482 0.499
Li3 0.515 0.393 0.376
Li4 0.515 0.893 0.876
Li5 0.476 0.116 0.116
Li6 0.476 0.617 0.616
Li7 0.024 0.258 0.259
Li8 0.024 0.759 0.759
Fe1 0.250 0.937 0.437
Fe2 0.749 0.047 0.558
Fe3 0.751 0.828 0.317
Fe4 0.250 0.438 0.937
Fe5 0.749 0.546 0.058
Fe6 0.751 0.328 0.817
O1 0.603 0.741 0.471
O2 0.603 0.241 0.971
O3 0.897 0.134 0.404
O4 0.897 0.635 0.904
F1 0.112 0.300 0.095
F2 0.110 0.800 0.595
F3 0.390 0.075 0.280
F4 0.388 0.575 0.780
F5 0.378 0.796 0.022
F6 0.379 0.296 0.523
F7 0.121 0.579 0.352
F8 0.121 0.079 0.853
F9 0.665 0.478 0.228
F10 0.663 0.979 0.729
F11 0.837 0.896 0.146
F12 0.835 0.397 0.647

3.
## Li6VNi3P6O24 (PBE with a Hubbard U)

Data for a geometry-optimized Li6VNi3P6O24 structure.

VASP energy   -258.65 eV/f.u.
M_tot   0.1250 μB per atom
Space group   P1 (1)

Cell lengths 8.616, 8.665, 8.671 Å; angles 60.82, 60.61, 60.99 degrees
Positions (direct):
Li1 0.028 0.019 0.006
Li2 0.748 0.158 0.352
Li3 0.479 0.504 0.489
Li4 0.297 0.851 0.641
Li5 0.646 0.302 0.844
Li6 0.848 0.644 0.299
V1 0.851 0.850 0.853
Ni1 0.143 0.147 0.142
Ni2 0.357 0.362 0.354
Ni3 0.645 0.648 0.647
P1 0.045 0.749 0.449
P2 0.451 0.044 0.747
P3 0.748 0.452 0.042
P4 0.242 0.545 0.958
P5 0.546 0.963 0.246
P6 0.956 0.242 0.538
O1 0.136 0.259 0.511
O2 0.267 0.528 0.128
O3 0.048 0.921 0.271
O4 0.552 0.121 0.274
O5 0.233 0.593 0.450
O6 0.979 0.815 0.622
O7 0.266 0.074 0.905
O8 0.482 0.220 0.577
O9 0.593 0.451 0.233
O10 0.186 0.389 0.989
O11 0.089 0.745 0.903
O12 0.380 0.009 0.197
O13 0.622 0.972 0.821
O14 0.905 0.262 0.068
O15 0.820 0.619 0.979
O16 0.416 0.554 0.773
O17 0.556 0.775 0.415
O18 0.743 0.905 0.086
O19 0.965 0.196 0.385
O20 0.775 0.416 0.557
O21 0.474 0.889 0.693
O22 0.905 0.087 0.739
O23 0.687 0.482 0.889
O24 0.890 0.689 0.477

The lowest M_tot belongs to which entry?
Li4Fe3O2F6

What is the formula in the first record?
EuVO4

What is the formula in the first record?
EuVO4

Look up the M_tot of the first one.
1.0003 μB per atom